[1]
VASP calculation (GGA-PBE) on a relaxed structure of SmYCo4Ni6.

Lattice parameters (Å, degrees): 3.974 4.903 8.480 90.00 90.00 90.00
Fractional positions:
Co 0.000 0.000 0.833
Sm 0.000 0.500 0.000
Ni 0.500 0.250 0.251
Ni 0.500 0.750 0.251
Co 0.000 0.500 0.666
Ni 0.500 0.250 0.749
Co 0.000 0.500 0.334
Co 0.000 0.000 0.167
Ni 0.500 0.000 0.000
Ni 0.500 0.750 0.749
Y 0.000 0.000 0.500
Ni 0.500 0.500 0.500



[2]
VASP calculation (GGA-PBE) on a relaxed structure of SmYCo2Ni2.

Lattice parameters (Å, degrees): 5.137 5.137 5.137 121.47 120.07 88.68
Fractional positions:
Co 0.375 0.125 0.751
Co 0.375 0.624 0.249
Ni 0.876 0.625 0.251
Y 0.002 0.002 0.000
Sm 0.748 0.248 0.500
Ni 0.375 0.625 0.749



[3]
VASP calculation (GGA-PBE) on a relaxed structure of CoNiSn.

Lattice parameters (Å, degrees): 4.259 4.259 5.293 90.00 90.00 120.00
Fractional positions:
Sn 0.667 0.333 0.750
Co 0.000 0.000 0.000
Ni 0.667 0.333 0.250
Sn 0.333 0.667 0.250
Co 0.000 0.000 0.500
Ni 0.333 0.667 0.750



[4]
VASP calculation (GGA-PBE) on a relaxed structure of Ti8Co3NiSn4.

Lattice parameters (Å, degrees): 15.067 15.067 15.067 17.32 17.32 17.32
Fractional positions:
Co 0.500 0.500 0.500
Ti 0.937 0.937 0.937
Sn 0.625 0.625 0.625
Ti 0.312 0.312 0.312
Ti 0.187 0.187 0.187
Ti 0.688 0.688 0.688
Ti 0.813 0.813 0.813
Ti 0.438 0.438 0.438
Ti 0.562 0.562 0.562
Sn 0.875 0.875 0.875
Co 0.250 0.250 0.250
Sn 0.125 0.125 0.125
Co 0.750 0.750 0.750
Sn 0.375 0.375 0.375
Ti 0.063 0.063 0.063
Ni 0.000 0.000 0.000



[5]
VASP calculation (GGA-PBE) on a relaxed structure of TiCoNiSn.

Lattice parameters (Å, degrees): 4.311 4.311 4.311 60.00 60.00 60.00
Fractional positions:
Co 0.250 0.250 0.250
Sn 0.000 0.000 0.000
Ti 0.500 0.500 0.500
Ni 0.750 0.750 0.750



[6]
VASP calculation (GGA-PBE) on a relaxed structure of Ti2CoNiSn2.

Lattice parameters (Å, degrees): 4.338 4.338 7.512 73.22 90.00 120.00
Fractional positions:
Co 0.000 0.999 0.001
Sn 0.749 0.497 0.754
Ti 0.375 0.751 0.874
Ni 0.500 0.000 0.499
Sn 0.251 0.503 0.246
Ti 0.875 0.750 0.375



[7]
VASP calculation (GGA-PBE) on a relaxed structure of TaCoNi2.

Lattice parameters (Å, degrees): 5.181 5.181 4.198 90.00 90.00 119.25
Fractional positions:
Ni 0.160 0.840 0.500
Ni 0.840 0.160 0.000
Co 0.842 0.679 0.000
Ta 0.664 0.336 0.500
Ni 0.679 0.841 0.500
Co 0.321 0.158 0.000
Ta 0.336 0.664 0.000
Ni 0.159 0.321 0.500



[8]
VASP calculation (GGA-PBE) on a relaxed structure of Co2Ni2Te5.

Lattice parameters (Å, degrees): 6.631 6.638 9.438 77.85 77.82 61.41
Fractional positions:
Te 0.439 0.774 0.554
Co 0.603 0.596 0.806
Co 0.397 0.404 0.194
Ni 0.594 0.601 0.307
Te 0.165 0.826 0.252
Te 0.037 0.371 0.353
Co 0.808 0.800 0.399
Te 0.764 0.437 0.052
Ni 0.805 0.814 0.897
Te 0.835 0.174 0.748
Te 0.236 0.563 0.948
Te 0.634 0.970 0.150
Ni 0.406 0.399 0.693
Te 0.963 0.629 0.647
Te 0.366 0.030 0.850
Ni 0.195 0.186 0.103
Te 0.561 0.226 0.446
Co 0.192 0.200 0.601

Properties
The calculation puts the corrected total energy (MP2020 scheme) at -5.0109 eV per atom.



[9]
VASP calculation (GGA-PBE) on a relaxed structure of TiCoNi2.

Lattice parameters (Å, degrees): 5.089 5.089 8.287 90.00 90.00 120.16
Fractional positions:
Ti 0.999 0.001 0.253
Ni 0.000 0.499 0.250
Ni 0.344 0.171 0.000
Ti 0.334 0.666 0.000
Ni 0.501 0.000 0.250
Co 0.172 0.828 0.500
Co 0.654 0.827 0.500
Co 0.828 0.172 0.000
Ni 0.829 0.656 0.000
Ti 0.999 0.001 0.747
Ni 0.501 0.000 0.750
Co 0.173 0.346 0.500
Ni 0.500 0.500 0.250
Ni 0.000 0.499 0.750
Ni 0.500 0.500 0.750
Ti 0.667 0.333 0.500



[10]
VASP calculation (GGA-PBE) on a relaxed structure of UCoNi.

Lattice parameters (Å, degrees): 4.919 4.919 4.919 120.80 119.35 89.87
Fractional positions:
Co 0.000 0.500 0.500
U 0.877 0.127 0.750
U 0.123 0.873 0.250
Ni 0.500 0.500 0.500
Co 0.500 0.500 0.000
Ni 0.500 0.000 0.000



[11]
VASP calculation (GGA-PBE) on a relaxed structure of V6CoNi.

Lattice parameters (Å, degrees): 4.651 4.651 4.651 90.00 90.00 90.00
Fractional positions:
V 0.500 0.750 0.000
V 0.000 0.500 0.250
V 0.250 0.000 0.500
V 0.500 0.250 0.000
Ni 0.000 0.000 0.000
V 0.000 0.500 0.750
Co 0.500 0.500 0.500
V 0.750 0.000 0.500



[12]
VASP calculation (GGA-PBE) on a relaxed structure of YCoNi.

Lattice parameters (Å, degrees): 5.063 5.063 5.063 120.45 120.06 89.56
Fractional positions:
Ni 0.000 0.500 0.500
Ni 0.500 0.500 0.000
Y 0.626 0.876 0.750
Co 0.000 0.500 0.000
Y 0.374 0.124 0.250
Co 0.000 0.000 0.500



[13]
VASP calculation (GGA-PBE) on a relaxed structure of Y2CoNi5.

Lattice parameters (Å, degrees): 16.453 16.453 16.453 17.38 17.38 17.38
Fractional positions:
Ni 0.959 0.459 0.959
Ni 0.041 0.541 0.541
Ni 0.960 0.459 0.459
Co 0.750 0.750 0.750
Ni 0.667 0.667 0.667
Co 0.250 0.250 0.250
Ni 0.041 0.041 0.541
Y 0.070 0.070 0.070
Y 0.500 0.500 0.500
Y 0.930 0.930 0.930
Ni 0.541 0.041 0.541
Ni 0.541 0.041 0.041
Ni 0.959 0.959 0.459
Ni 0.167 0.167 0.167
Ni 0.541 0.541 0.041
Ni 0.459 0.960 0.459
Ni 0.459 0.459 0.960
Y 0.430 0.430 0.430
Y 0.570 0.570 0.570
Y 0.000 0.000 0.000
Ni 0.459 0.959 0.959
Co 0.333 0.333 0.333
Ni 0.041 0.541 0.041
Ni 0.833 0.833 0.833



[14]
VASP calculation (GGA-PBE) on a relaxed structure of Zr2CoNi.

Lattice parameters (Å, degrees): 5.219 5.219 4.088 90.00 90.00 142.94
Fractional positions:
Co 0.414 0.586 0.000
Zr 0.862 0.138 0.500
Ni 0.583 0.417 0.500
Zr 0.141 0.859 0.000



[15]
VASP calculation (GGA-PBE) on a relaxed structure of Zr5Co4Ni.

Lattice parameters (Å, degrees): 3.221 3.221 16.061 90.00 90.00 90.00
Fractional positions:
Ni 0.000 0.000 0.000
Zr 0.500 0.500 0.899
Co 0.000 0.000 0.201
Co 0.000 0.000 0.400
Zr 0.500 0.500 0.101
Co 0.000 0.000 0.799
Zr 0.500 0.500 0.700
Zr 0.500 0.500 0.300
Co 0.000 0.000 0.600
Zr 0.500 0.500 0.500



[16]
VASP calculation (GGA-PBE) on a relaxed structure of Np2Co17.

Lattice parameters (Å, degrees): 8.081 8.081 7.846 90.00 90.00 120.00
Fractional positions:
Co 0.676 0.041 0.750
Co 0.333 0.667 0.400
Co 0.365 0.041 0.750
Co 0.835 0.165 0.474
Co 0.041 0.365 0.250
Co 0.670 0.835 0.526
Co 0.165 0.835 0.526
Co 0.500 0.000 0.000
Co 0.333 0.667 0.100
Co 0.165 0.330 0.974
Co 0.667 0.333 0.600
Co 0.000 0.500 0.000
Co 0.959 0.635 0.750
Co 0.165 0.835 0.974
Co 0.667 0.333 0.900
Co 0.835 0.670 0.474
Np 0.667 0.333 0.250
Np 0.333 0.667 0.750
Co 0.041 0.676 0.250
Co 0.959 0.324 0.750
Co 0.500 0.500 0.000
Co 0.365 0.324 0.750
Co 0.835 0.670 0.026
Co 0.635 0.959 0.250
Co 0.324 0.959 0.250
Co 0.330 0.165 0.474
Np 0.000 0.000 0.750
Co 0.500 0.000 0.500
Co 0.635 0.676 0.250
Co 0.000 0.500 0.500
Co 0.330 0.165 0.026
Co 0.500 0.500 0.500
Co 0.835 0.165 0.026
Np 0.000 0.000 0.250
Co 0.676 0.635 0.750
Co 0.165 0.330 0.526
Co 0.324 0.365 0.250
Co 0.670 0.835 0.974



[17]
VASP calculation (GGA-PBE) on a relaxed structure of NpCo3.

Lattice parameters (Å, degrees): 5.215 5.220 4.369 90.00 90.00 120.06
Fractional positions:
Co 0.676 0.838 0.250
Co 0.838 0.676 0.750
Np 0.667 0.333 0.250
Co 0.162 0.324 0.250
Np 0.333 0.667 0.750
Co 0.162 0.838 0.250
Co 0.838 0.162 0.750
Co 0.324 0.162 0.750



[18]
VASP calculation (GGA-PBE) on a relaxed structure of NpCo3.

Lattice parameters (Å, degrees): 3.712 3.712 3.712 90.00 90.00 90.00
Fractional positions:
Co 0.500 0.500 0.000
Co 0.000 0.500 0.500
Np 0.000 0.000 0.000
Co 0.500 0.000 0.500



[19]
VASP calculation (GGA-PBE) on a relaxed structure of Co3Os.

Lattice parameters (Å, degrees): 4.371 4.371 4.371 131.70 131.70 70.70
Fractional positions:
Co 0.750 0.250 0.500
Co 0.500 0.500 0.000
Co 0.250 0.750 0.500
Os 0.000 0.000 0.000



[20]
VASP calculation (GGA-PBE) on a relaxed structure of CoP.

Lattice parameters (Å, degrees): 3.269 5.072 5.555 90.00 90.00 90.00
Fractional positions:
P 0.250 0.691 0.082
Co 0.750 0.999 0.196
P 0.750 0.309 0.918
Co 0.250 0.001 0.804
P 0.750 0.809 0.582
Co 0.250 0.501 0.696
P 0.250 0.191 0.418
Co 0.750 0.499 0.304



Number 1: electronic total energy -6.358 eV per atom, E_form -192 kJ/mol of formula units. Number 2: electronic total energy -6.408 eV per atom, E_form -143 kJ/mol of formula units. Number 3: electronic total energy -5.651 eV per atom, E_form -5 kJ/mol of formula units. Number 4: electronic total energy -6.819 eV per atom, E_form -270 kJ/mol of formula units. Number 5: electronic total energy -6.566 eV per atom, E_form -142 kJ/mol of formula units. Number 6: electronic total energy -5.892 eV per atom, E_form 130 kJ/mol of formula units. Number 7: electronic total energy -7.963 eV per atom, E_form -128 kJ/mol of formula units. Number 8: electronic total energy -4.776 eV per atom, E_form -348 kJ/mol of formula units. Number 9: electronic total energy -7.031 eV per atom, E_form -151 kJ/mol of formula units. Number 10: electronic total energy -8.314 eV per atom, E_form -74 kJ/mol of formula units. Number 11: electronic total energy -8.600 eV per atom, E_form -136 kJ/mol of formula units. Number 12: electronic total energy -6.731 eV per atom, E_form -81 kJ/mol of formula units. Number 13: electronic total energy -6.462 eV per atom, E_form -265 kJ/mol of formula units. Number 14: electronic total energy -7.898 eV per atom, E_form -155 kJ/mol of formula units. Number 15: electronic total energy -7.995 eV per atom, E_form -289 kJ/mol of formula units. Number 16: electronic total energy -7.723 eV per atom, E_form 1 kJ/mol of formula units. Number 17: electronic total energy -8.545 eV per atom, E_form 9 kJ/mol of formula units. Number 18: electronic total energy -8.563 eV per atom, E_form 2 kJ/mol of formula units. Number 19: electronic total energy -8.015 eV per atom, E_form 47 kJ/mol of formula units. Number 20: electronic total energy -6.844 eV per atom, E_form -113 kJ/mol of formula units.